1.
! CaTaPS2O12 (PBE-GGA, relaxed); values from VASP
! Calculated density   3.13 Mg/m³
! DFT formation energy   -2559 meV/atom
&SYSTEM
  ibrav = 0, nat = 102, ntyp = 5
/
ATOMIC_SPECIES
O 16.00 O.upf
Ca 40.08 Ca.upf
P 30.97 P.upf
Ta 180.95 Ta.upf
S 32.06 S.upf
CELL_PARAMETERS angstrom
-6.315 4.888 -4.328
0.773 -8.894 -1.642
-14.745 -4.304 16.655
ATOMIC_POSITIONS angstrom
O -5.727 -0.335 4.178
O -17.486 -5.690 7.767
O -13.156 -4.204 6.850
O -9.980 -10.229 9.994
O -6.750 3.282 -2.323
O -14.787 -7.619 14.764
O -8.927 -4.456 0.252
O -17.622 -6.962 10.428
O -16.954 -2.617 12.905
O -6.220 0.248 1.883
O -11.012 -4.059 10.627
O -15.336 -6.751 11.283
O -4.790 -1.269 -0.324
O -7.064 -1.061 -2.355
O -8.601 -4.548 5.623
O -14.557 0.839 5.621
O -14.530 -7.514 6.666
O -8.778 -5.791 8.246
O -3.072 -2.347 2.689
O -6.653 -2.950 -3.799
O -13.920 -7.789 9.011
O -11.358 -1.800 2.544
O -15.780 -10.189 13.338
O -13.111 -7.695 13.007
O -4.900 1.817 -2.937
O -12.713 -0.823 4.828
O -9.916 -2.125 8.887
O -10.545 -1.673 6.575
O -9.341 -2.815 4.106
O -18.824 -3.333 10.987
O -12.914 -4.204 12.245
O -7.706 -6.917 2.555
O -9.768 -8.790 6.638
O -14.497 -9.519 11.281
O -2.716 -2.625 -0.979
O -9.613 -7.104 4.184
O -3.928 -5.452 -2.739
O -10.630 1.886 0.431
O -11.497 -5.704 5.959
O -7.234 -4.495 -1.504
O -17.097 -5.217 11.991
O -2.522 -0.618 0.489
O -11.864 -8.804 10.598
O -16.136 -3.719 7.505
O -17.145 -7.523 12.729
O -5.664 -6.379 4.532
O -19.356 -1.065 10.405
O -13.407 -4.035 9.740
O -16.896 0.452 9.904
O -11.646 -3.729 1.144
O -12.223 -1.621 8.342
O -7.439 -4.227 3.515
O -3.180 -0.344 -2.018
O -1.225 -5.796 -0.382
O -7.259 -7.316 6.123
O -4.771 -4.343 2.707
O -3.149 -8.465 1.085
O -14.581 -1.549 6.346
O -7.276 -2.557 5.303
O -10.891 2.006 3.338
O -13.599 -5.433 4.821
O -11.976 -3.598 4.809
O -4.889 -6.921 1.820
O -7.233 -2.751 0.226
O -14.955 -0.849 9.276
O -8.860 0.304 -0.524
O -14.759 -2.858 14.067
O -6.631 -4.996 0.805
O -10.013 -0.130 4.282
O -12.574 -6.162 10.739
O -5.219 -0.970 -3.940
O -6.088 1.488 -0.834
Ca -6.869 -0.550 -0.155
Ca -12.779 -3.720 14.354
Ca -2.021 -4.440 -2.011
Ca -9.430 -6.564 6.292
Ca -14.225 -2.716 8.184
Ca -11.661 3.272 1.741
P -15.057 -10.748 12.171
P -3.361 -1.315 -0.718
P -3.646 -3.610 3.581
P -14.307 -0.700 5.161
P -12.567 -4.563 10.847
P -9.234 -7.397 2.782
Ta -2.190 -0.684 2.356
Ta -9.518 -2.871 10.714
Ta -11.038 -1.703 4.528
Ta -13.551 -7.820 10.995
Ta -6.214 -5.641 2.643
Ta -18.328 -3.919 12.912
S -6.656 -1.423 -3.685
S -14.741 -8.432 7.877
S -5.571 2.486 -1.732
S -16.833 -6.686 11.602
S -12.532 -4.734 5.668
S -4.646 -8.387 1.415
S -5.876 -7.308 5.731
S -13.410 -7.326 14.474
S -8.144 -3.544 4.703
S -7.566 -4.124 -0.073
S -10.865 -1.275 8.021
S -10.661 -9.587 11.186

---

2.
! DyUTe6 (PBE-GGA, relaxed); values from VASP
! Calculated density   7.92 Mg/m³
! DFT formation energy   -1043 meV/atom
&SYSTEM
  ibrav = 0, nat = 8, ntyp = 3
/
ATOMIC_SPECIES
Dy 162.50 Dy.upf
Te 127.60 Te.upf
U 238.03 U.upf
CELL_PARAMETERS angstrom
2.189 -12.740 0.000
2.189 12.740 0.000
0.000 0.000 4.382
ATOMIC_POSITIONS angstrom
Dy 2.189 -8.432 0.000
Te 2.189 -1.970 2.191
Te 2.189 -5.200 0.000
Te 2.189 1.897 0.000
Te 2.189 5.301 2.191
Te 2.189 -10.852 2.191
Te 2.189 10.770 0.000
U 2.189 8.487 2.191

---

3.
! TmSiRu2C (PBE-GGA, relaxed); values from VASP
! Calculated density   9.13 Mg/m³
! DFT formation energy   -607 meV/atom
&SYSTEM
  ibrav = 0, nat = 10, ntyp = 4
/
ATOMIC_SPECIES
Si 28.09 Si.upf
C 12.01 C.upf
Tm 168.93 Tm.upf
Ru 101.07 Ru.upf
CELL_PARAMETERS angstrom
1.880 -5.583 0.000
1.880 5.583 0.000
0.000 0.000 7.128
ATOMIC_POSITIONS angstrom
Si 1.880 2.595 1.782
Si 1.880 -2.595 5.346
C 0.000 0.000 0.000
C 0.000 0.000 3.564
Tm 1.880 0.510 5.346
Tm 1.880 -0.510 1.782
Ru 1.880 3.761 6.730
Ru 1.880 3.761 3.962
Ru 1.880 -3.761 3.166
Ru 1.880 -3.761 0.398

---

4.
! YCO4 (PBE-GGA, relaxed); values from VASP
! Calculated density   3.58 Mg/m³
! DFT formation energy   -2468 meV/atom
&SYSTEM
  ibrav = 0, nat = 24, ntyp = 3
/
ATOMIC_SPECIES
C 12.01 C.upf
O 16.00 O.upf
Y 88.91 Y.upf
CELL_PARAMETERS angstrom
-4.440 -1.748 -1.069
2.997 -5.826 -2.915
-0.282 -4.021 7.748
ATOMIC_POSITIONS angstrom
C -2.096 -1.838 0.678
C 2.634 -8.268 2.435
C -0.700 -5.390 0.391
C -3.288 -7.695 4.023
O -0.863 -1.413 0.531
O 0.074 -6.247 5.745
O -1.742 -6.188 0.351
O -2.731 -2.213 -0.388
O -1.122 -8.949 1.096
O -2.268 -6.265 -1.964
O -4.341 -5.176 4.954
O -2.270 -7.234 4.711
O 0.114 -9.003 3.806
O 1.292 -6.131 3.833
O 0.318 -2.610 2.209
O -1.615 -5.314 3.476
O 1.424 -8.357 1.933
O 0.372 -7.633 -1.072
O 0.329 -5.783 1.073
O -0.774 -4.252 -0.189
Y 2.431 -6.512 0.043
Y -3.253 -4.554 -0.894
Y -0.642 -7.203 2.749
Y -1.986 -4.923 5.629

---

5.
! CeInCu (PBE-GGA, relaxed); values from VASP
! Calculated density   7.86 Mg/m³
! DFT formation energy   -354 meV/atom
&SYSTEM
  ibrav = 0, nat = 9, ntyp = 3
/
ATOMIC_SPECIES
Cu 63.55 Cu.upf
In 114.82 In.upf
Ce 140.12 Ce.upf
CELL_PARAMETERS angstrom
-6.202 3.962 -0.336
2.749 -3.064 -6.109
-2.306 -3.547 0.741
ATOMIC_POSITIONS angstrom
Cu -0.235 -0.722 -4.185
Cu -1.153 -1.773 0.371
Cu -3.218 1.620 -2.260
In -2.599 0.676 -4.852
In 0.680 -0.758 -1.510
In -1.533 0.979 -0.083
Ce 0.447 -3.556 -3.184
Ce -4.761 0.532 0.175
Ce -2.597 -1.398 -2.324

---

6.
! SmP3O9 (PBE-GGA, relaxed); values from VASP
! Calculated density   3.64 Mg/m³
! DFT formation energy   -2991 meV/atom
&SYSTEM
  ibrav = 0, nat = 26, ntyp = 3
/
ATOMIC_SPECIES
O 16.00 O.upf
P 30.97 P.upf
Sm 150.36 Sm.upf
CELL_PARAMETERS angstrom
4.285 -5.610 0.000
4.285 5.610 0.000
0.000 0.000 7.352
ATOMIC_POSITIONS angstrom
O 7.368 -1.234 7.031
O 2.994 -0.205 2.432
O 5.576 0.205 6.108
O 7.239 -1.413 3.948
O 4.468 -2.176 3.945
O 7.368 1.234 0.321
O 5.576 -0.205 1.244
O 4.102 -2.176 7.083
O 4.285 4.206 1.838
O 4.285 -4.206 5.514
O 4.102 2.176 0.269
O 1.331 -1.413 7.080
O 2.994 0.205 4.920
O 4.468 2.176 3.407
O 1.202 -1.234 3.997
O 1.331 1.413 0.272
O 1.202 1.234 3.355
O 7.239 1.413 3.404
P 4.200 3.641 3.341
P 2.150 0.000 3.676
P 4.370 3.641 0.335
P 4.200 -3.641 4.011
P 6.420 0.000 0.000
P 4.370 -3.641 7.017
Sm 3.205 0.000 0.000
Sm 5.365 0.000 3.676

---

7.
! UCrSe3 (PBE-GGA, relaxed); values from VASP
! Calculated density   7.95 Mg/m³
! DFT formation energy   -1144 meV/atom
&SYSTEM
  ibrav = 0, nat = 20, ntyp = 3
/
ATOMIC_SPECIES
Se 78.96 Se.upf
Cr 52.00 Cr.upf
U 238.03 U.upf
CELL_PARAMETERS angstrom
-6.190 -0.477 1.578
0.055 7.036 2.339
-2.384 2.842 -8.493
ATOMIC_POSITIONS angstrom
Se -2.236 1.248 0.477
Se -2.673 8.795 -3.892
Se -5.846 0.607 -0.685
Se -6.515 3.447 -2.643
Se -3.161 2.350 -2.816
Se -5.359 7.052 -1.761
Se -1.080 4.853 1.359
Se -2.004 5.955 -1.934
Se -7.439 4.549 -5.936
Se -6.283 8.154 -5.054
Se -3.921 5.183 -4.750
Se -4.599 4.219 0.174
Cr -3.068 3.280 1.959
Cr -4.260 4.701 -2.288
Cr -1.192 1.421 -4.247
Cr 0.000 0.000 0.000
U -5.241 2.740 -5.198
U -3.278 6.662 0.621
U -7.579 6.075 -3.425
U -0.940 3.326 -1.151

---

8.
! Zn2Sb3O8 (PBE-GGA, relaxed); values from VASP
! Calculated density   5.75 Mg/m³
! Energy above the lowest structure with this stoichiometry   0.0000 eV per atom
! DFT formation energy   -1625 meV/atom
&SYSTEM
  ibrav = 0, nat = 13, ntyp = 3
/
ATOMIC_SPECIES
O 16.00 O.upf
Zn 65.41 Zn.upf
Sb 121.76 Sb.upf
CELL_PARAMETERS angstrom
3.323 5.331 0.000
-3.323 5.331 0.000
0.000 2.398 5.086
ATOMIC_POSITIONS angstrom
O -1.617 6.052 3.961
O -1.617 7.008 1.126
O 0.000 8.380 3.856
O 1.617 7.008 1.126
O 0.000 4.681 1.231
O 0.000 9.936 1.123
O 1.617 6.052 3.961
O 0.000 3.124 3.963
Zn 0.000 7.984 1.744
Zn 0.000 5.077 3.343
Sb 0.000 1.199 2.543
Sb -1.549 5.331 0.000
Sb 1.549 5.331 0.000